Computed, not measured: an optimized crystal structure of Rb3Sb2Br9 at the GGA-PBE level of DFT.

Results
The calculation puts the spin magnetization at 0.0 Bohr magnetons per cell. The calculation puts the energy relative to the elements at -1.509 eV/atom. The calculation puts the calculated volume at 2180.6 Å³/cell. The symmetry is P2_1/c (14).

Unit cell a=7.946 b=14.000 c=24.044 alpha=54.61 beta=90.00 gamma=90.00
Fractional coordinates of all 56 atoms:
Br  0.270  0.473  0.915
Br  0.960  0.244  0.579
Br  0.051  0.744  0.079
Br  0.790  0.520  0.922
Br  0.207  0.021  0.563
Br  0.949  0.256  0.921
Br  0.770  0.527  0.585
Br  0.540  0.244  0.079
Br  0.293  0.021  0.063
Br  0.040  0.756  0.421
Br  0.691  0.536  0.755
Br  0.724  0.977  0.602
Br  0.707  0.979  0.937
Br  0.935  0.250  0.253
Br  0.730  0.527  0.085
Br  0.298  0.030  0.725
Br  0.776  0.977  0.102
Br  0.793  0.979  0.437
Br  0.710  0.520  0.422
Br  0.191  0.464  0.745
Br  0.210  0.480  0.078
Br  0.551  0.256  0.421
Br  0.809  0.536  0.255
Br  0.276  0.023  0.398
Br  0.798  0.970  0.775
Br  0.290  0.480  0.578
Br  0.702  0.970  0.275
Br  0.202  0.030  0.225
Br  0.065  0.750  0.747
Br  0.224  0.023  0.898
Br  0.449  0.744  0.579
Br  0.460  0.756  0.921
Br  0.230  0.473  0.415
Br  0.565  0.250  0.753
Br  0.309  0.464  0.245
Br  0.435  0.750  0.247
Sb  0.501  0.992  0.845
Sb  0.499  0.008  0.155
Sb  0.995  0.490  0.843
Sb  0.495  0.510  0.657
Sb  0.005  0.510  0.157
Sb  0.999  0.992  0.345
Sb  0.001  0.008  0.655
Sb  0.505  0.490  0.343
Rb  0.513  0.744  0.096
Rb  0.484  0.242  0.235
Rb  0.016  0.242  0.735
Rb  0.987  0.744  0.596
Rb  0.984  0.758  0.265
Rb  0.498  0.748  0.425
Rb  0.002  0.748  0.925
Rb  0.487  0.256  0.904
Rb  0.502  0.252  0.575
Rb  0.013  0.256  0.404
Rb  0.998  0.252  0.075
Rb  0.516  0.758  0.765